1.
The following is a DFT calculation (PBE) of a relaxed structure of Sr3TiN3.

Cell lengths 7.8679, 7.8679, 5.4014 Å; angles 90.00, 90.00, 120.00 degrees
With the nearest neighbours (Å) after each atom.
Space group P6_3/m (No. 176)
Symmetry-distinct sites (fractional):
Sr 0.0864 0.3589 0.2500  4 N 2.58-2.82
Ti 0.3333 0.6667 0.7500  3 N 1.92
N 0.1169 0.4031 0.7500  1 Ti 1.92

- spin magnetization (Bohr magnetons per cell) = 2.0

---

2.
The following is a DFT calculation (PBE) of a relaxed structure of SrV2N4.

Cell lengths 10.5692, 10.5692, 10.5692 Å; angles 90.00, 90.00, 90.00 degrees
With the nearest neighbours (Å) after each atom.
Space group Pa-3 (No. 205)
Symmetry-distinct sites (fractional):
Sr 0.0000 0.0000 0.0000  12 N 3.04-3.18
Sr 0.1223 0.6223 0.8777  6 N 2.64-2.75
V 0.1170 0.2022 0.3550  4 N 1.80-1.85
N 0.0209 0.0821 0.2752  2 V 1.81-1.83
N 0.1396 0.1437 0.7752  2 V 1.80-1.85

- spin magnetization (Bohr magnetons per cell) = 0.0

---

3.
The following is a DFT calculation (PBE) of a relaxed structure of Sr3V2N4.

Cell lengths 5.9165, 10.1636, 9.7458 Å; angles 90.00, 90.00, 90.00 degrees
With the nearest neighbours (Å) after each atom.
Space group Pnna (No. 52)
Symmetry-distinct sites (fractional):
Sr 0.1164 0.1571 0.0819  4 N 2.59-2.72
Sr 0.2500 0.0000 0.4035  6 N 2.74-2.93
V 0.1496 0.2500 0.7500  4 N 1.95-2.02
V 0.2500 0.0000 0.7366  4 N 1.89-1.90
N 0.0163 0.0858 0.8339  2 V 1.89-2.02
N 0.1517 0.6469 0.8679  2 V 1.90-1.95

- offset from the most stable computed form (eV per formula unit) = 0.00
- spin magnetization (Bohr magnetons per cell) = 1.8

---

4.
The following is a DFT calculation (PBE) of a relaxed structure of Sr3V3N5.

Cell lengths 5.8146, 7.6364, 8.6007 Å; angles 109.84, 104.32, 99.46 degrees
With the nearest neighbours (Å) after each atom.
Space group P-1 (No. 2)
Symmetry-distinct sites (fractional):
Sr 0.1541 0.3474 0.3909  5 N 2.67-2.84
Sr 0.1778 0.1881 0.7289  5 N 2.51-2.77
Sr 0.2616 0.9307 0.0994  4 N 2.56-2.77
V 0.1853 0.4894 0.1021  4 N 1.93-2.03
V 0.4057 0.8173 0.4690  4 N 1.91-1.96
V 0.4194 0.6255 0.8027  4 N 1.87-1.95
N 0.1547 0.5598 0.8924  3 V 1.95-2.03
N 0.2435 0.2367 0.0425  2 V 1.93-1.95
N 0.2670 0.0159 0.4178  2 V 1.91-1.96
N 0.3237 0.7346 0.6415  2 V 1.87-1.93
N 0.4807 0.6008 0.3138  3 V 1.93-1.98

- spin magnetization (Bohr magnetons per cell) = 0.0

---

5.
The following is a DFT calculation (PBE) of a relaxed structure of SrV7N10.

Cell lengths 7.3707, 7.0115, 10.3541 Å; angles 90.00, 105.33, 90.00 degrees
With the nearest neighbours (Å) after each atom.
Space group Pc (No. 7)
Symmetry-distinct sites (fractional):
Sr 0.0000 0.0335 0.0000  4 N 2.62-2.79
V 0.1771 0.4099 0.4884  4 N 1.81-1.92
V 0.3687 0.3681 0.8071  4 N 1.82-1.90
V 0.4336 0.0262 0.4260  4 N 1.81-1.89
V 0.5480 0.3858 0.0994  4 N 1.84-1.87
V 0.6134 0.0124 0.2361  4 N 1.83-1.92
V 0.7497 0.3766 0.3952  4 N 1.81-1.91
V 0.9334 0.3510 0.7209  4 N 1.81-1.91
N 0.1474 0.3808 0.8643  3 V 1.87-1.92
N 0.2417 0.1870 0.4255  2 V 1.81
N 0.3530 0.4895 0.6452  3 V 1.85-1.87
N 0.4093 0.1205 0.7691  3 V 1.82-1.89
N 0.4879 0.1313 0.0754  3 V 1.84-1.87
N 0.5925 0.4467 0.9347  3 V 1.81-1.90
N 0.6497 0.1404 0.4048  3 V 1.83-1.92
N 0.7722 0.4511 0.2232  3 V 1.83-1.90
N 0.8256 0.1280 0.7464  2 V 1.81-1.83
N 0.9653 0.3438 0.5434  3 V 1.86-1.91

- spin magnetization (Bohr magnetons per cell) = 4.1

---

6.
The following is a DFT calculation (PBE) of a relaxed structure of Sr3V2N4.

Cell lengths 11.5887, 8.6221, 5.6982 Å; angles 90.00, 92.73, 90.00 degrees
With the nearest neighbours (Å) after each atom.
Space group C2/c (No. 15)
Symmetry-distinct sites (fractional):
Sr 0.0000 0.1031 0.2500  6 N 2.61-2.80
Sr 0.1195 0.3694 0.5472  5 N 2.67-2.97, 1 V 2.97
V 0.2055 0.1214 0.9205  4 N 1.90-2.00
N 0.1333 0.3184 0.0248  2 V 1.95-2.00
N 0.1728 0.0592 0.6044  2 V 1.90-1.92

- offset from the most stable computed form (eV per formula unit) = 1.04
- spin magnetization (Bohr magnetons per cell) = 0.0

---

7.
The following is a DFT calculation (PBE) of a relaxed structure of Sr2VN3.

Cell lengths 5.7556, 11.0740, 12.3616 Å; angles 90.00, 90.79, 90.00 degrees
With the nearest neighbours (Å) after each atom.
Space group C2/c (No. 15)
Symmetry-distinct sites (fractional):
Sr 0.2440 0.1106 0.4226  6 N 2.63-2.81
Sr 0.2475 0.1975 0.8542  4 N 2.66-2.78
V 0.2439 0.4973 0.3360  4 N 1.78-1.85
N 0.0000 0.0202 0.2500  2 V 1.85
N 0.0000 0.4470 0.7500  2 V 1.85
N 0.2184 0.3392 0.3673  1 V 1.80
N 0.2370 0.0895 0.0461  1 V 1.78

---

8.
The following is a DFT calculation (PBE) of a relaxed structure of Sr3W3N5.

Cell lengths 6.1563, 7.9620, 8.4077 Å; angles 108.34, 103.33, 103.95 degrees
With the nearest neighbours (Å) after each atom.
Space group P-1 (No. 2)
Symmetry-distinct sites (fractional):
Sr 0.1526 0.3546 0.3850  6 N 2.62-2.78
Sr 0.1798 0.1814 0.7327  4 N 2.58-2.70
Sr 0.2536 0.9497 0.1009  3 N 2.55-2.74
W 0.2221 0.5196 0.0928  4 N 2.04-2.14
W 0.4033 0.8074 0.4588  4 N 1.92-2.11
W 0.4105 0.6219 0.8239  4 N 1.99-2.09
N 0.1001 0.5554 0.8632  3 W 1.99-2.08
N 0.2219 0.2498 0.0644  2 W 2.09
N 0.2632 0.0169 0.4297  2 W 1.99-2.11
N 0.3114 0.7232 0.6315  2 W 1.92-2.06
N 0.4959 0.5825 0.3341  3 W 2.05-2.14

- spin magnetization (Bohr magnetons per cell) = 0.0

---

9.
The following is a DFT calculation (PBE) of a relaxed structure of Sr3WN3.

Cell lengths 7.9823, 7.9823, 5.3843 Å; angles 90.00, 90.00, 120.00 degrees
With the nearest neighbours (Å) after each atom.
Space group P6_3/m (No. 176)
Symmetry-distinct sites (fractional):
Sr 0.0976 0.3519 0.2500  4 N 2.73-2.78
W 0.3333 0.6667 0.7500  3 N 1.87
N 0.1167 0.4180 0.7500  1 W 1.87

---

10.
The following is a DFT calculation (PBE) of a relaxed structure of Sr3Y3N5.

Cell lengths 6.6489, 8.1299, 9.4932 Å; angles 106.24, 108.68, 99.98 degrees
With the nearest neighbours (Å) after each atom.
Space group P-1 (No. 2)
Symmetry-distinct sites (fractional):
Sr 0.1701 0.1097 0.2025  3 N 2.56-2.77
Sr 0.1918 0.3200 0.8804  3 N 2.53-2.69
Sr 0.2947 0.9371 0.5872  3 N 2.57-2.68
Y 0.2373 0.4591 0.5678  4 N 2.23-2.37
Y 0.3172 0.6282 0.2700  4 N 2.25-2.35
Y 0.3700 0.7990 0.9552  4 N 2.25-2.38
N 0.0750 0.5988 0.3899  3 Y 2.23-2.37
N 0.1864 0.7810 0.1149  2 Y 2.25
N 0.2782 0.0147 0.8638  2 Y 2.25-2.34
N 0.3661 0.2112 0.5057  2 Y 2.30-2.32, 2 Sr 2.56-2.57
N 0.4884 0.4152 0.1799  3 Y 2.30-2.38

- spin magnetization (Bohr magnetons per cell) = 0.0

---

Q: Which theoretical density values were calculated for the entries above? A: 4.046 4.144 4.769 4.817 3.760 4.914 4.522 8.204 5.463 4.457, in g/cm³.
Q: Which energy of formation values were calculated for the entries above? A: -1019 -1094 -1060 -1071 -987 -945 -1304 -664 -954 -1167, in meV per atom.